No. 1
This record from Materials Project describes a relaxed structure of Dy2TlZn. The functional is r²SCAN.

The structure belongs to space group Fm-3m (No. 225); the cell edges are 7.333, 7.333 and 7.333 Å and the angles 90.00°, 90.00° and 90.00°. The asymmetric unit holds Dy at (0.250, 0.250, 0.250), Tl at (0.000, 0.000, 0.000) and Zn at (0.000, 0.000, 0.500).

No. 2
This record from Materials Project describes a relaxed structure of Lu2Mn2O7. The functional is r²SCAN.

The structure belongs to space group Fd-3m (No. 227, origin choice 2); the cell edges are 9.751, 9.751 and 9.751 Å and the angles 90.00°, 90.00° and 90.00°. The asymmetric unit holds Lu at (0.000, 0.000, 0.000), Mn at (0.000, 0.000, 0.500), O at (0.081, 0.375, 0.875) and O at (0.125, 0.125, 0.125).

| no. | E (eV per atom) | total magnetization (Bohr magnetons per cell) |
| --- | --- | --- |
| 1 | -31.92 | 0.01 |
| 2 | -16.44 | 48.00 |